Compound: MnPCO4
Source: the Materials Project
Functional: GGA+U
Structure: optimized geometry

```
MnPCO4
1.0
5.2062 0.0000 0.0000
0.0000 7.3362 0.0000
0.0000 0.0000 13.2525
O P C Mn
16 4 4 4
direct
0.5884 0.3219 0.3505
0.9116 0.3219 0.8505
0.5069 0.6671 0.3738
0.9931 0.6671 0.8738
0.8350 0.9741 0.7068
0.0884 0.8219 0.1495
0.1211 0.0114 0.3854
0.4116 0.8219 0.6495
0.1650 0.4741 0.2932
0.0069 0.1671 0.1262
0.6211 0.5114 0.1146
0.3789 0.0114 0.8854
0.6650 0.9741 0.2068
0.4931 0.1671 0.6262
0.3350 0.4741 0.7932
0.8789 0.5114 0.6146
0.1111 0.4732 0.8709
0.3889 0.4732 0.3709
0.8889 0.9732 0.1291
0.6111 0.9732 0.6291
0.0538 0.0892 0.4560
0.5538 0.5892 0.0440
0.4462 0.0892 0.9560
0.9462 0.5892 0.5440
0.1350 0.8173 0.7566
0.3650 0.8173 0.2566
0.8650 0.3173 0.2434
0.6350 0.3173 0.7434
```

Energy with MP2020 corrections, eV per atom: -7.8159
Calculated formation energy, eV per atom: -1.588
Symmetry: No. 33
Energy relative to the lowest polymorph listed for this composition, meV per atom: 120
Calculated total energy, eV per atom: -7.1850